Run w
Crystalline Li8VO6 at its relaxed geometry. Source: the Materials Project, functional PBE+U.

Results
* size of the total moment: 0.067 μB/atom
* SG: P-1 (2)

a = 5.393 Å, b = 5.398 Å, c = 10.501 Å
α = 90.00°, β = 104.65°, γ = 119.39°
Fractional coordinates of all 30 atoms:
Li 0.010 0.419 0.320
Li 0.012 0.928 0.825
Li 0.145 0.819 0.489
Li 0.167 0.344 0.989
Li 0.260 0.189 0.678
Li 0.265 0.685 0.177
Li 0.395 0.587 0.821
Li 0.401 0.086 0.326
Li 0.599 0.914 0.674
Li 0.605 0.413 0.179
Li 0.735 0.315 0.823
Li 0.740 0.811 0.322
Li 0.833 0.656 0.011
Li 0.855 0.181 0.511
Li 0.988 0.072 0.175
Li 0.990 0.581 0.680
V 0.500 0.000 0.000
V 0.500 0.500 0.500
O 0.120 0.650 0.883
O 0.123 0.150 0.383
O 0.267 0.532 0.618
O 0.278 0.028 0.115
O 0.410 0.262 0.882
O 0.411 0.749 0.385
O 0.589 0.251 0.615
O 0.590 0.738 0.118
O 0.722 0.972 0.885
O 0.733 0.468 0.382
O 0.877 0.850 0.617
O 0.880 0.350 0.117

Run x
Crystalline Li8VO6 at its relaxed geometry. Source: the Materials Project, functional PBE+U.

Results
* size of the total moment: 0.067 μB/atom
* SG: R-3 (148)

a = 5.926 Å, b = 5.926 Å, c = 5.926 Å
α = 54.77°, β = 54.77°, γ = 54.77°
Fractional coordinates of all 15 atoms:
Li 0.008 0.401 0.735
Li 0.158 0.158 0.158
Li 0.265 0.992 0.599
Li 0.401 0.735 0.008
Li 0.599 0.265 0.992
Li 0.735 0.008 0.401
Li 0.842 0.842 0.842
Li 0.992 0.599 0.265
V 0.500 0.500 0.500
O 0.125 0.734 0.405
O 0.266 0.595 0.875
O 0.405 0.125 0.734
O 0.595 0.875 0.266
O 0.734 0.405 0.125
O 0.875 0.266 0.595

On energetic grounds, run w is preferred over the next structure by 0.009 eV/atom.

Run w
Crystalline Li5V5O12 at its relaxed geometry. Source: the Materials Project, functional PBE+U.

Results
* size of the total moment: 0.273 μB/atom
* SG: P1 (1)

a = 5.057 Å, b = 9.202 Å, c = 9.463 Å
α = 84.51°, β = 86.26°, γ = 84.96°
Fractional coordinates of all 44 atoms:
Li 0.000 0.000 0.000
Li 0.007 0.643 0.020
Li 0.101 0.771 0.263
Li 0.341 0.029 0.772
Li 0.370 0.674 0.777
Li 0.446 0.466 0.040
Li 0.511 0.135 0.018
Li 0.594 0.280 0.273
Li 0.648 0.941 0.259
Li 0.851 0.523 0.780
V 0.120 0.114 0.267
V 0.218 0.566 0.514
V 0.268 0.886 0.517
V 0.385 0.343 0.789
V 0.472 0.816 0.026
V 0.646 0.594 0.259
V 0.733 0.061 0.523
V 0.758 0.379 0.533
V 0.864 0.847 0.779
V 0.979 0.309 0.021
O 0.038 0.997 0.646
O 0.050 0.400 0.633
O 0.086 0.716 0.641
O 0.157 0.474 0.906
O 0.171 0.829 0.897
O 0.197 0.188 0.888
O 0.279 0.261 0.166
O 0.314 0.959 0.135
O 0.343 0.646 0.134
O 0.398 0.729 0.407
O 0.420 0.049 0.403
O 0.483 0.444 0.399
O 0.512 0.510 0.652
O 0.563 0.891 0.638
O 0.576 0.226 0.637
O 0.656 0.339 0.899
O 0.669 0.970 0.901
O 0.689 0.693 0.884
O 0.771 0.769 0.159
O 0.784 0.458 0.149
O 0.828 0.139 0.140
O 0.892 0.227 0.405
O 0.937 0.569 0.403
O 0.969 0.941 0.380

Run x
Crystalline Li5V5O12 at its relaxed geometry. Source: the Materials Project, functional PBE+U.

Results
* size of the total moment: 0.273 μB/atom
* SG: P1 (1)

a = 5.090 Å, b = 5.102 Å, c = 19.781 Å
α = 87.33°, β = 85.36°, γ = 60.52°
Fractional coordinates of all 44 atoms:
Li 0.000 0.000 0.000
Li 0.032 0.683 0.876
Li 0.142 0.000 0.623
Li 0.224 0.329 0.377
Li 0.286 0.672 0.123
Li 0.360 0.995 0.877
Li 0.504 0.999 0.501
Li 0.548 0.680 0.377
Li 0.640 0.994 0.124
Li 0.788 0.677 0.624
V 0.079 0.339 0.750
V 0.164 0.675 0.498
V 0.247 0.004 0.250
V 0.336 0.328 0.999
V 0.419 0.663 0.751
V 0.587 0.334 0.250
V 0.667 0.667 0.001
V 0.747 0.006 0.750
V 0.830 0.329 0.501
V 0.918 0.669 0.250
O 0.030 0.352 0.948
O 0.073 0.998 0.806
O 0.093 0.673 0.695
O 0.109 0.356 0.553
O 0.167 0.987 0.447
O 0.238 0.659 0.305
O 0.270 0.343 0.195
O 0.366 0.970 0.055
O 0.373 0.333 0.805
O 0.379 0.649 0.947
O 0.427 0.000 0.695
O 0.472 0.646 0.553
O 0.507 0.366 0.448
O 0.564 0.996 0.306
O 0.597 0.680 0.195
O 0.616 0.352 0.053
O 0.660 0.975 0.945
O 0.737 0.668 0.806
O 0.794 0.335 0.695
O 0.858 0.973 0.554
O 0.888 0.632 0.446
O 0.901 0.357 0.305
O 0.934 0.980 0.194
O 0.973 0.649 0.052

On energetic grounds, run w is preferred over the next structure by 0.026 eV/atom.

Run w
Crystalline LiV3O6 at its relaxed geometry. Source: the Materials Project, functional PBE+U.

Results
* size of the total moment: 0.000 μB/atom

a = 4.972 Å, b = 8.906 Å, c = 5.500 Å
α = 106.91°, β = 116.14°, γ = 90.20°
Fractional coordinates of all 20 atoms:
Li 0.431 0.143 0.850
Li 0.931 0.644 0.850
V 0.706 0.907 0.403
V 0.998 0.002 0.003
V 0.245 0.742 0.494
V 0.206 0.407 0.403
V 0.498 0.502 0.003
V 0.745 0.242 0.494
O 0.441 0.361 0.223
O 0.941 0.861 0.223
O 0.448 0.042 0.222
O 0.948 0.542 0.222
O 0.913 0.203 0.221
O 0.413 0.703 0.221
O 0.532 0.308 0.696
O 0.032 0.808 0.696
O 0.059 0.434 0.693
O 0.559 0.934 0.693
O 0.977 0.107 0.697
O 0.477 0.607 0.697

Run x
Crystalline LiV3O6 at its relaxed geometry. Source: the Materials Project, functional PBE+U.

Results
* size of the total moment: 0.400 μB/atom
* SG: C2/m (12)

a = 5.109 Å, b = 5.109 Å, c = 5.259 Å
α = 100.04°, β = 100.04°, γ = 118.54°
Fractional coordinates of all 10 atoms:
Li 0.000 0.000 0.000
V 0.161 0.839 0.500
V 0.500 0.500 0.500
V 0.839 0.161 0.500
O 0.103 0.423 0.299
O 0.238 0.238 0.717
O 0.423 0.103 0.299
O 0.577 0.897 0.701
O 0.762 0.762 0.283
O 0.897 0.577 0.701

On energetic grounds, run w is preferred over the next structure by 0.091 eV/atom.